Entry 1:
Density functional theory data (PBE-GGA) for a relaxed structure of Ga10GePb3O20.

abc: 9.894 9.894 5.180
angles: 74.96 74.96 73.67
Fractional positions:
Ga (0.634, 0.366, 0.500)
Ga (0.366, 0.634, 0.500)
Ga (0.280, 0.007, 0.372)
Ga (0.993, 0.720, 0.628)
Ga (0.720, 0.993, 0.628)
Ga (0.007, 0.280, 0.372)
Ga (0.578, 0.151, 0.108)
Ga (0.849, 0.422, 0.892)
Ga (0.422, 0.849, 0.892)
Ga (0.151, 0.578, 0.108)
Ge (0.500, 0.500, 0.000)
Pb (0.000, 0.000, 0.000)
Pb (0.722, 0.722, 0.218)
Pb (0.278, 0.278, 0.782)
O (0.566, 0.566, 0.252)
O (0.434, 0.434, 0.748)
O (0.097, 0.097, 0.304)
O (0.903, 0.903, 0.696)
O (0.396, 0.124, 0.132)
O (0.876, 0.604, 0.868)
O (0.604, 0.876, 0.868)
O (0.124, 0.396, 0.132)
O (0.339, 0.828, 0.268)
O (0.172, 0.661, 0.732)
O (0.661, 0.172, 0.732)
O (0.828, 0.339, 0.268)
O (0.992, 0.282, 0.735)
O (0.718, 0.008, 0.265)
O (0.008, 0.718, 0.265)
O (0.282, 0.992, 0.735)
O (0.684, 0.455, 0.758)
O (0.545, 0.316, 0.242)
O (0.316, 0.545, 0.242)
O (0.455, 0.684, 0.758)

Summary:
Formation enthalpy at 0 K = -2.15 eV/atom

Entry 2:
Density functional theory data (PBE-GGA) for a relaxed structure of Ba2MgTl2CuO6.

abc: 3.843 3.843 14.987
angles: 90.11 74.99 89.85
Fractional positions:
Ba (0.299, 0.437, 0.138)
Ba (0.575, 0.437, 0.862)
Mg (0.926, 0.426, 0.500)
Tl (0.681, 0.924, 0.349)
Tl (0.273, 0.030, 0.651)
Cu (0.937, 0.937, 0.000)
O (0.718, 0.936, 0.199)
O (0.136, 0.918, 0.801)
O (0.937, 0.437, 0.000)
O (0.437, 0.937, 0.000)
O (0.867, 0.922, 0.557)
O (0.479, 0.424, 0.443)

Summary:
Magnetic moment = 0.000 μB per cell
Formation enthalpy at 0 K = -1.83 eV/atom